(1)
# PBE with a Hubbard U Li4Ti3Co5O16, relaxed
# Energy of formation in meV/atom: -2094
# Raw total energy in eV/atom: -6.625
# Total energy after the MP2020 corrections in eV per atom: -7.310
# Total magnetic moment in μB per cell: 23.68
data_Li4Ti3Co5O16
_chemical_formula_sum 'Li8 Ti6 Co10 O32'
_symmetry_space_group_name_H-M 'C 1 m 1'
_symmetry_Int_Tables_number 8
_symmetry_space_group_name_Hall 'C -2y'
_cell_length_a 9.874
_cell_length_b 5.804
_cell_length_c 9.310
_cell_angle_alpha 90.00
_cell_angle_beta 90.36
_cell_angle_gamma 90.00
loop_
_atom_site_label
_atom_site_type_symbol
_atom_site_fract_x
_atom_site_fract_y
_atom_site_fract_z
Li1 Li 0.000 0.000 0.000
Li2 Li 0.006 0.000 0.496
Li3 Li 0.183 0.500 0.106
Li4 Li 0.349 0.000 0.599
Ti1 Ti 0.098 0.253 0.783
Ti2 Ti 0.182 0.000 0.282
Co1 Co 0.179 0.500 0.510
Co2 Co 0.339 0.500 0.781
Co3 Co 0.348 0.000 0.016
Co4 Co 0.426 0.247 0.286
O1 O 0.006 0.000 0.187
O2 O 0.007 0.000 0.684
O3 O 0.036 0.500 0.649
O4 O 0.094 0.254 0.392
O5 O 0.177 0.500 0.897
O6 O 0.183 0.000 0.894
O7 O 0.254 0.284 0.648
O8 O 0.277 0.220 0.151
O9 O 0.345 0.500 0.386
O10 O 0.349 0.000 0.393
O11 O 0.430 0.247 0.892
O12 O 0.492 0.000 0.162


(2)
# PBE with a Hubbard U Li4TiCo5O12, relaxed
# Energy of formation in meV/atom: -1880
# Raw total energy in eV/atom: -6.153
# Total energy after the MP2020 corrections in eV per atom: -6.900
# Total magnetic moment in μB per cell: 2.00
# Distance to the lowest polymorph of the same formula in kJ/mol of atoms: 0.05
data_Li4TiCo5O12
_chemical_formula_sum 'Li8 Ti2 Co10 O24'
_symmetry_space_group_name_H-M 'P 1'
_symmetry_Int_Tables_number 1
_symmetry_space_group_name_Hall 'P 1'
_cell_length_a 4.916
_cell_length_b 8.524
_cell_length_c 10.762
_cell_angle_alpha 66.92
_cell_angle_beta 85.46
_cell_angle_gamma 89.71
loop_
_atom_site_label
_atom_site_type_symbol
_atom_site_fract_x
_atom_site_fract_y
_atom_site_fract_z
Li1 Li 0.000 0.000 0.000
Li2 Li 0.000 0.334 0.996
Li3 Li 0.427 0.245 0.510
Li4 Li 0.429 0.576 0.510
Li5 Li 0.501 0.499 0.999
Li6 Li 0.502 0.833 0.999
Li7 Li 0.920 0.741 0.511
Li8 Li 0.926 0.074 0.514
Ti1 Ti 0.467 0.029 0.262
Ti2 Ti 0.977 0.542 0.248
Co1 Co 0.214 0.287 0.755
Co2 Co 0.214 0.622 0.755
Co3 Co 0.214 0.953 0.755
Co4 Co 0.465 0.704 0.255
Co5 Co 0.466 0.373 0.254
Co6 Co 0.714 0.122 0.755
Co7 Co 0.714 0.453 0.755
Co8 Co 0.714 0.787 0.755
Co9 Co 0.960 0.869 0.256
Co10 Co 0.962 0.204 0.255
O1 O 0.061 0.836 0.653
O2 O 0.064 0.168 0.654
O3 O 0.069 0.509 0.654
O4 O 0.137 0.089 0.150
O5 O 0.154 0.766 0.146
O6 O 0.165 0.434 0.141
O7 O 0.269 0.811 0.364
O8 O 0.275 0.157 0.362
O9 O 0.290 0.485 0.363
O10 O 0.358 0.409 0.856
O11 O 0.363 0.067 0.856
O12 O 0.367 0.735 0.856
O13 O 0.561 0.336 0.653
O14 O 0.564 0.667 0.654
O15 O 0.570 0.010 0.654
O16 O 0.643 0.591 0.148
O17 O 0.652 0.260 0.148
O18 O 0.652 0.919 0.148
O19 O 0.772 0.968 0.371
O20 O 0.774 0.653 0.361
O21 O 0.777 0.313 0.361
O22 O 0.858 0.909 0.856
O23 O 0.863 0.567 0.856
O24 O 0.867 0.235 0.857


(3)
# PBE with a Hubbard U Li4TiCo5O12, relaxed
# Energy of formation in meV/atom: -1866
# Raw total energy in eV/atom: -6.140
# Total energy after the MP2020 corrections in eV per atom: -6.887
# Total magnetic moment in μB per cell: 6.01
# Distance to the lowest polymorph of the same formula in kJ/mol of atoms: 1.35
data_Li4TiCo5O12
_chemical_formula_sum 'Li8 Ti2 Co10 O24'
_symmetry_space_group_name_H-M 'P 1'
_symmetry_Int_Tables_number 1
_symmetry_space_group_name_Hall 'P 1'
_cell_length_a 4.928
_cell_length_b 8.524
_cell_length_c 10.776
_cell_angle_alpha 66.73
_cell_angle_beta 85.51
_cell_angle_gamma 89.99
loop_
_atom_site_label
_atom_site_type_symbol
_atom_site_fract_x
_atom_site_fract_y
_atom_site_fract_z
Li1 Li 0.000 0.000 0.000
Li2 Li 0.000 0.332 0.999
Li3 Li 0.074 0.588 0.488
Li4 Li 0.075 0.255 0.488
Li5 Li 0.499 0.833 0.999
Li6 Li 0.503 0.498 0.002
Li7 Li 0.573 0.759 0.484
Li8 Li 0.577 0.088 0.487
Ti1 Ti 0.037 0.796 0.743
Ti2 Ti 0.536 0.288 0.744
Co1 Co 0.037 0.127 0.744
Co2 Co 0.037 0.460 0.744
Co3 Co 0.287 0.209 0.244
Co4 Co 0.287 0.545 0.244
Co5 Co 0.287 0.879 0.243
Co6 Co 0.537 0.963 0.743
Co7 Co 0.538 0.626 0.743
Co8 Co 0.787 0.045 0.243
Co9 Co 0.787 0.709 0.243
Co10 Co 0.788 0.379 0.243
O1 O 0.134 0.097 0.142
O2 O 0.137 0.764 0.143
O3 O 0.144 0.423 0.143
O4 O 0.212 0.679 0.632
O5 O 0.214 0.347 0.637
O6 O 0.228 0.020 0.636
O7 O 0.345 0.406 0.852
O8 O 0.346 0.068 0.852
O9 O 0.358 0.746 0.851
O10 O 0.432 0.322 0.344
O11 O 0.437 0.664 0.344
O12 O 0.441 0.996 0.345
O13 O 0.634 0.597 0.142
O14 O 0.638 0.264 0.143
O15 O 0.643 0.923 0.143
O16 O 0.717 0.856 0.634
O17 O 0.729 0.178 0.635
O18 O 0.729 0.514 0.636
O19 O 0.846 0.913 0.850
O20 O 0.861 0.240 0.851
O21 O 0.862 0.569 0.855
O22 O 0.931 0.822 0.344
O23 O 0.937 0.164 0.344
O24 O 0.941 0.496 0.345


(4)
# PBE with a Hubbard U Li4TiCo5O12, relaxed
# Energy of formation in meV/atom: -1807
# Raw total energy in eV/atom: -6.081
# Total energy after the MP2020 corrections in eV per atom: -6.828
# Total magnetic moment in μB per cell: 8.00
# Distance to the lowest polymorph of the same formula in kJ/mol of atoms: 7.04
data_Li4TiCo5O12
_chemical_formula_sum 'Li16 Ti4 Co20 O48'
_symmetry_space_group_name_H-M 'C 1 2 1'
_symmetry_Int_Tables_number 5
_symmetry_space_group_name_Hall 'C 2y'
_cell_length_a 20.661
_cell_length_b 8.512
_cell_length_c 5.038
_cell_angle_alpha 90.00
_cell_angle_beta 103.31
_cell_angle_gamma 90.00
loop_
_atom_site_label
_atom_site_type_symbol
_atom_site_fract_x
_atom_site_fract_y
_atom_site_fract_z
Li1 Li 0.127 0.000 0.223
Li2 Li 0.127 0.491 0.234
Li3 Li 0.127 0.991 0.727
Li4 Li 0.128 0.500 0.737
Ti1 Ti 0.000 0.250 0.500
Ti2 Ti 0.000 0.749 0.000
Co1 Co 0.000 0.075 0.000
Co2 Co 0.000 0.407 0.000
Co3 Co 0.000 0.579 0.500
Co4 Co 0.000 0.908 0.500
Co5 Co 0.250 0.080 0.750
Co6 Co 0.250 0.244 0.250
Co7 Co 0.250 0.409 0.751
O1 O 0.050 0.241 0.886
O2 O 0.050 0.743 0.388
O3 O 0.051 0.071 0.381
O4 O 0.055 0.570 0.914
O5 O 0.057 0.416 0.418
O6 O 0.057 0.913 0.910
O7 O 0.200 0.077 0.038
O8 O 0.200 0.912 0.537
O9 O 0.201 0.412 0.040
O10 O 0.201 0.576 0.540
O11 O 0.202 0.244 0.531
O12 O 0.202 0.744 0.030


(5)
# PBE with a Hubbard U Li4TiCo5O12, relaxed
# Energy of formation in meV/atom: -1857
# Raw total energy in eV/atom: -6.130
# Total energy after the MP2020 corrections in eV per atom: -6.877
# Total magnetic moment in μB per cell: 2.00
# Distance to the lowest polymorph of the same formula in kJ/mol of atoms: 2.25
data_Li4TiCo5O12
_chemical_formula_sum 'Li8 Ti2 Co10 O24'
_symmetry_space_group_name_H-M 'P 1'
_symmetry_Int_Tables_number 1
_symmetry_space_group_name_Hall 'P 1'
_cell_length_a 4.974
_cell_length_b 8.567
_cell_length_c 10.874
_cell_angle_alpha 113.11
_cell_angle_beta 95.84
_cell_angle_gamma 90.01
loop_
_atom_site_label
_atom_site_type_symbol
_atom_site_fract_x
_atom_site_fract_y
_atom_site_fract_z
Li1 Li 0.000 0.000 0.000
Li2 Li 0.009 0.259 0.519
Li3 Li 0.062 0.909 0.511
Li4 Li 0.449 0.496 0.008
Li5 Li 0.500 0.142 0.000
Li6 Li 0.509 0.406 0.519
Li7 Li 0.562 0.749 0.512
Li8 Li 0.950 0.656 0.009
Ti1 Ti 0.002 0.454 0.260
Ti2 Ti 0.502 0.955 0.261
Co1 Co 0.002 0.787 0.260
Co2 Co 0.003 0.121 0.260
Co3 Co 0.252 0.542 0.766
Co4 Co 0.257 0.206 0.760
Co5 Co 0.261 0.868 0.753
Co6 Co 0.502 0.289 0.260
Co7 Co 0.502 0.623 0.260
Co8 Co 0.752 0.375 0.767
Co9 Co 0.757 0.706 0.759
Co10 Co 0.761 0.036 0.754
O1 O 0.097 0.441 0.871
O2 O 0.105 0.762 0.858
O3 O 0.122 0.078 0.857
O4 O 0.167 0.340 0.373
O5 O 0.180 0.006 0.365
O6 O 0.198 0.678 0.365
O7 O 0.306 0.732 0.155
O8 O 0.325 0.404 0.156
O9 O 0.337 0.070 0.147
O10 O 0.396 0.330 0.664
O11 O 0.409 0.652 0.661
O12 O 0.412 0.967 0.649
O13 O 0.602 0.577 0.870
O14 O 0.605 0.250 0.859
O15 O 0.618 0.925 0.856
O16 O 0.667 0.182 0.372
O17 O 0.680 0.508 0.365
O18 O 0.698 0.838 0.366
O19 O 0.806 0.573 0.155
O20 O 0.825 0.902 0.155
O21 O 0.837 0.227 0.147
O22 O 0.892 0.482 0.663
O23 O 0.909 0.165 0.662
O24 O 0.917 0.831 0.649


(6)
# PBE with a Hubbard U Li4Ti2Co7O18, relaxed
# Energy of formation in meV/atom: -1823
# Raw total energy in eV/atom: -6.288
# Total energy after the MP2020 corrections in eV per atom: -7.057
# Total magnetic moment in μB per cell: 14.15
data_Li4Ti2Co7O18
_chemical_formula_sum 'Li8 Ti4 Co14 O36'
_symmetry_space_group_name_H-M 'P 1 m 1'
_symmetry_Int_Tables_number 6
_symmetry_space_group_name_Hall 'P -2y'
_cell_length_a 8.775
_cell_length_b 2.895
_cell_length_c 25.059
_cell_angle_alpha 90.00
_cell_angle_beta 90.11
_cell_angle_gamma 90.00
loop_
_atom_site_label
_atom_site_type_symbol
_atom_site_fract_x
_atom_site_fract_y
_atom_site_fract_z
Li1 Li 0.000 0.000 0.000
Li2 Li 0.006 0.000 0.781
Li3 Li 0.122 0.000 0.279
Li4 Li 0.143 0.000 0.502
Li5 Li 0.495 0.000 0.083
Li6 Li 0.507 0.000 0.302
Li7 Li 0.625 0.000 0.800
Li8 Li 0.632 0.000 0.585
Ti1 Ti 0.314 0.000 0.185
Ti2 Ti 0.319 0.000 0.397
Ti3 Ti 0.816 0.000 0.899
Ti4 Ti 0.818 0.000 0.687
Co1 Co 0.164 0.500 0.095
Co2 Co 0.173 0.500 0.881
Co3 Co 0.295 0.000 0.599
Co4 Co 0.316 0.000 0.792
Co5 Co 0.337 0.000 0.981
Co6 Co 0.452 0.500 0.705
Co7 Co 0.471 0.500 0.487
Co8 Co 0.664 0.500 0.989
Co9 Co 0.677 0.500 0.204
Co10 Co 0.789 0.000 0.484
Co11 Co 0.816 0.000 0.292
Co12 Co 0.848 0.000 0.099
Co13 Co 0.957 0.500 0.379
Co14 Co 0.968 0.500 0.595
O1 O 0.012 0.000 0.642
O2 O 0.032 0.000 0.885
O3 O 0.110 0.000 0.383
O4 O 0.116 0.000 0.142
O5 O 0.156 0.500 0.806
O6 O 0.172 0.500 0.571
O7 O 0.207 0.000 0.049
O8 O 0.215 0.500 0.954
O9 O 0.254 0.500 0.230
O10 O 0.276 0.500 0.455
O11 O 0.302 0.000 0.717
O12 O 0.310 0.000 0.873
O13 O 0.360 0.500 0.127
O14 O 0.378 0.500 0.352
O15 O 0.411 0.500 0.628
O16 O 0.426 0.000 0.534
O17 O 0.460 0.500 0.010
O18 O 0.470 0.500 0.788
O19 O 0.519 0.000 0.441
O20 O 0.523 0.000 0.200
O21 O 0.611 0.000 0.705
O22 O 0.622 0.000 0.941
O23 O 0.657 0.500 0.282
O24 O 0.672 0.500 0.515
O25 O 0.699 0.000 0.035
O26 O 0.736 0.500 0.132
O27 O 0.764 0.500 0.853
O28 O 0.774 0.500 0.629
O29 O 0.800 0.000 0.362
O30 O 0.831 0.000 0.220
O31 O 0.861 0.500 0.956
O32 O 0.881 0.500 0.731
O33 O 0.895 0.500 0.452
O34 O 0.927 0.000 0.548
O35 O 0.963 0.500 0.068
O36 O 0.975 0.500 0.300


(7)
# PBE with a Hubbard U Li4Ti2Co7O18, relaxed
# Energy of formation in meV/atom: -1824
# Raw total energy in eV/atom: -6.289
# Total energy after the MP2020 corrections in eV per atom: -7.058
# Total magnetic moment in μB per cell: 14.00
data_Li4Ti2Co7O18
_chemical_formula_sum 'Li8 Ti4 Co14 O36'
_symmetry_space_group_name_H-M 'P b a m'
_symmetry_Int_Tables_number 55
_symmetry_space_group_name_Hall '-P 2 2ab'
_cell_length_a 8.869
_cell_length_b 24.939
_cell_length_c 2.896
_cell_angle_alpha 90.00
_cell_angle_beta 90.00
_cell_angle_gamma 90.00
loop_
_atom_site_label
_atom_site_type_symbol
_atom_site_fract_x
_atom_site_fract_y
_atom_site_fract_z
Li1 Li 0.181 0.005 0.000
Li2 Li 0.188 0.792 0.000
Ti1 Ti 0.003 0.894 0.000
Co1 Co 0.000 0.500 0.000
Co2 Co 0.023 0.689 0.000
Co3 Co 0.140 0.415 0.500
Co4 Co 0.146 0.197 0.500
O1 O 0.004 0.425 0.000
O2 O 0.044 0.058 0.500
O3 O 0.055 0.838 0.500
O4 O 0.091 0.343 0.500
O5 O 0.104 0.244 0.000
O6 O 0.148 0.720 0.500
O7 O 0.155 0.491 0.500
O8 O 0.187 0.145 0.000
O9 O 0.221 0.912 0.000


(8)
# PBE with a Hubbard U Li4TiCo5O12, relaxed
# Energy of formation in meV/atom: -1880
# Raw total energy in eV/atom: -6.154
# Total energy after the MP2020 corrections in eV per atom: -6.901
# Total magnetic moment in μB per cell: 4.01
# Distance to the lowest polymorph of the same formula in kJ/mol of atoms: 0.00
data_Li4TiCo5O12
_chemical_formula_sum 'Li16 Ti4 Co20 O48'
_symmetry_space_group_name_H-M 'C 1 2 1'
_symmetry_Int_Tables_number 5
_symmetry_space_group_name_Hall 'C 2y'
_cell_length_a 19.757
_cell_length_b 8.492
_cell_length_c 4.907
_cell_angle_alpha 90.00
_cell_angle_beta 94.81
_cell_angle_gamma 90.00
loop_
_atom_site_label
_atom_site_type_symbol
_atom_site_fract_x
_atom_site_fract_y
_atom_site_fract_z
Li1 Li 0.121 0.000 0.207
Li2 Li 0.122 0.162 0.714
Li3 Li 0.122 0.677 0.214
Li4 Li 0.124 0.505 0.715
Ti1 Ti 0.250 0.336 0.252
Co1 Co 0.000 0.002 0.500
Co2 Co 0.000 0.171 0.000
Co3 Co 0.000 0.336 0.500
Co4 Co 0.000 0.502 0.000
Co5 Co 0.000 0.672 0.500
Co6 Co 0.000 0.838 0.000
Co7 Co 0.250 0.003 0.250
Co8 Co 0.250 0.170 0.750
O1 O 0.050 0.171 0.356
O2 O 0.050 0.504 0.350
O3 O 0.051 0.007 0.856
O4 O 0.051 0.339 0.841
O5 O 0.051 0.663 0.855
O6 O 0.051 0.836 0.346
O7 O 0.196 0.008 0.561
O8 O 0.196 0.166 0.060
O9 O 0.196 0.337 0.575
O10 O 0.196 0.507 0.060
O11 O 0.196 0.665 0.561
O12 O 0.196 0.836 0.074